1.
Density functional theory data (PBE) for BaSn2S5 after structural relaxation.

Cell: 6.7520 10.8290 11.6401 Å, 90.00 90.00 90.00°
With the nearest neighbours (Å) after each atom.
Atoms (fractional coordinates):
1 Ba 0.2500 0.2500 0.8019  10 S 3.27-3.61
2 Ba 0.7500 0.7500 0.6981  10 S 3.27-3.61
3 Ba 0.7500 0.7500 0.1981  10 S 3.27-3.61
4 Ba 0.2500 0.2500 0.3019  10 S 3.27-3.61
5 Sn 0.2464 0.5593 0.5273  5 S 2.46-2.62
6 Sn 0.2536 0.9407 0.5273  5 S 2.46-2.62
7 Sn 0.7464 0.4407 0.9727  5 S 2.46-2.62
8 Sn 0.7536 0.0593 0.9727  5 S 2.46-2.62
9 Sn 0.7536 0.4407 0.4727  5 S 2.46-2.62
10 Sn 0.7464 0.0593 0.4727  5 S 2.46-2.62
11 Sn 0.2536 0.5593 0.0273  5 S 2.46-2.62
12 Sn 0.2464 0.9407 0.0273  5 S 2.46-2.62
13 S 0.0714 0.1345 0.5643  2 Sn 2.47-2.57
14 S 0.4286 0.3655 0.5643  2 Sn 2.47-2.57
15 S 0.5714 0.8655 0.9357  2 Sn 2.47-2.57
16 S 0.9286 0.6345 0.9357  2 Sn 2.47-2.57
17 S 0.9286 0.8655 0.4357  2 Sn 2.47-2.57
18 S 0.5714 0.6345 0.4357  2 Sn 2.47-2.57
19 S 0.4286 0.1345 0.0643  2 Sn 2.47-2.57
20 S 0.0714 0.3655 0.0643  2 Sn 2.47-2.57
21 S 0.0496 0.9718 0.8518  2 Sn 2.46-2.62
22 S 0.4504 0.5282 0.8518  2 Sn 2.46-2.62
23 S 0.5496 0.0282 0.6482  2 Sn 2.46-2.62
24 S 0.9504 0.4718 0.6482  2 Sn 2.46-2.62
25 S 0.9504 0.0282 0.1482  2 Sn 2.46-2.62
26 S 0.5496 0.4718 0.1482  2 Sn 2.46-2.62
27 S 0.4504 0.9718 0.3518  2 Sn 2.46-2.62
28 S 0.0496 0.5282 0.3518  2 Sn 2.46-2.62
29 S 0.7500 0.2500 0.8471  2 Sn 2.53
30 S 0.2500 0.7500 0.6529  2 Sn 2.53
31 S 0.2500 0.7500 0.1529  2 Sn 2.53
32 S 0.7500 0.2500 0.3471  2 Sn 2.53

## Properties
For the formation enthalpy at 0 K, the calculation gives -1146 meV/atom. The theoretical density is 4.18 g/cm³.

2.
Density functional theory data (PBE) for CaSiO3 after structural relaxation.

Cell: 9.5800 8.3632 14.7600 Å, 78.29 90.00 90.00°
With the nearest neighbours (Å) after each atom.
Atoms (fractional coordinates):
1 Ca 0.8846 0.9644 0.1908  3 O 2.27-2.38
2 Ca 0.3770 0.3548 0.9964  4 O 2.16-2.40
3 Ca 0.3750 0.7064 0.5010  2 O 2.17-2.20
4 Ca 0.8770 0.6452 0.5036  4 O 2.16-2.40
5 Ca 0.3846 0.0356 0.3092  3 O 2.27-2.38
6 Ca 0.6154 0.9644 0.6908  3 O 2.27-2.38
7 Ca 0.1154 0.0356 0.8092  3 O 2.27-2.38
8 Ca 0.8750 0.2936 0.9990  2 O 2.17-2.20
9 Ca 0.1230 0.3548 0.4964  4 O 2.16-2.40
10 Ca 0.6250 0.2936 0.4990  2 O 2.17-2.20
11 Ca 0.6230 0.6452 0.0036  4 O 2.16-2.40
12 Ca 0.1250 0.7064 0.0010  2 O 2.17-2.20
13 Si 0.6367 0.6761 0.6388  4 O 1.61-1.67
14 Si 0.1345 0.5001 0.6591  4 O 1.61-1.67
15 Si 0.3655 0.5001 0.1591  4 O 1.61-1.67
16 Si 0.8633 0.6761 0.1388  4 O 1.61-1.67
17 Si 0.1286 0.6985 0.8116  4 O 1.63-1.72
18 Si 0.8655 0.4999 0.3409  4 O 1.61-1.67
19 Si 0.6345 0.4999 0.8409  4 O 1.61-1.67
20 Si 0.3714 0.6985 0.3116  4 O 1.63-1.72
21 Si 0.8714 0.3015 0.1884  4 O 1.63-1.72
22 Si 0.1367 0.3239 0.8612  4 O 1.61-1.67
23 Si 0.3633 0.3239 0.3612  4 O 1.61-1.67
24 Si 0.6286 0.3015 0.6884  4 O 1.63-1.72
25 O 0.1284 0.5102 0.8850  2 Si 1.67-1.72
26 O 0.0070 0.2013 0.1633  1 Si 1.63
27 O 0.2352 0.2121 0.4084  1 Si 1.61
28 O 0.6284 0.4898 0.6150  2 Si 1.67-1.72
29 O 0.2464 0.8064 0.3454  1 Si 1.64
30 O 0.2648 0.2121 0.9084  1 Si 1.61
31 O 0.0074 0.5274 0.3948  1 Si 1.61
32 O 0.4926 0.5274 0.8948  1 Si 1.61
33 O 0.9961 0.2153 0.8892  1 Si 1.63
34 O 0.7352 0.7879 0.0916  1 Si 1.61
35 O 0.5074 0.4726 0.1052  1 Si 1.61
36 O 0.7536 0.1936 0.6546  1 Si 1.64
37 O 0.6547 0.6594 0.7528  2 Si 1.67
38 O 0.1375 0.6647 0.7057  2 Si 1.65-1.66
39 O 0.3716 0.5102 0.3850  2 Si 1.67-1.72
40 O 0.3453 0.3406 0.2472  2 Si 1.67
41 O 0.2566 0.5051 0.5819  1 Si 1.63
42 O 0.7648 0.7879 0.5916  1 Si 1.61
43 O 0.9930 0.7987 0.8367  1 Si 1.63
44 O 0.8625 0.3353 0.2943  2 Si 1.65-1.66
45 O 0.7434 0.4949 0.4181  1 Si 1.63
46 O 0.7566 0.4949 0.9181  1 Si 1.63
47 O 0.8716 0.4898 0.1150  2 Si 1.67-1.72
48 O 0.2434 0.5051 0.0819  1 Si 1.63
49 O 0.9926 0.4726 0.6052  1 Si 1.61
50 O 0.2536 0.8064 0.8454  1 Si 1.64
51 O 0.7464 0.1936 0.1546  1 Si 1.64
52 O 0.5039 0.2153 0.3892  1 Si 1.63
53 O 0.5070 0.7987 0.3367  1 Si 1.63
54 O 0.8453 0.6594 0.2528  2 Si 1.67
55 O 0.1547 0.3406 0.7472  2 Si 1.67
56 O 0.0039 0.7847 0.1108  1 Si 1.63
57 O 0.3625 0.6647 0.2057  2 Si 1.65-1.66
58 O 0.4961 0.7847 0.6108  1 Si 1.63
59 O 0.4930 0.2013 0.6633  1 Si 1.63
60 O 0.6375 0.3353 0.7943  2 Si 1.65-1.66

## Properties
For the formation enthalpy at 0 K, the calculation gives -3098 meV/atom. The theoretical density is 2.00 g/cm³.

3.
Density functional theory data (PBE) for Eu3Mo after structural relaxation.

Cell: 5.6913 5.6913 5.6913 Å, 122.62 122.62 85.51°
With the nearest neighbours (Å) after each atom.
Atoms (fractional coordinates):
1 Eu 0.7500 0.2500 0.5000  4 Eu 3.44, 4 Mo 3.44
2 Eu 0.2500 0.7500 0.5000  4 Eu 3.44, 4 Mo 3.44
3 Eu 0.5000 0.5000 0.0000  8 Eu 3.44
4 Mo 0.0000 0.0000 0.0000  8 Eu 3.44

## Properties
For the formation enthalpy at 0 K, the calculation gives 690 meV/atom. The theoretical density is 7.34 g/cm³.

4.
Density functional theory data (PBE) for Na2SO5 after structural relaxation.

Cell: 6.2433 6.0915 7.7857 Å, 90.00 90.00 120.83°
With the nearest neighbours (Å) after each atom.
Atoms (fractional coordinates):
1 Na 0.0000 0.0000 0.5000  2 O 2.10
2 Na 0.0000 0.0000 0.0000  2 O 2.10
3 Na 0.6549 0.3098 0.7500  4 O 2.33
4 Na 0.3451 0.6902 0.2500  4 O 2.33
5 S 0.2175 0.4349 0.7500  1 O 1.49
6 S 0.7825 0.5651 0.2500  1 O 1.49
7 O 0.9253 0.8506 0.2500  1 S 1.49
8 O 0.0747 0.1494 0.7500  1 S 1.49
9 O 0.9710 0.3916 0.9441  1 O 1.46
10 O 0.5794 0.6084 0.0559  1 O 1.46
11 O 0.9710 0.3916 0.5559  1 O 1.46
12 O 0.5794 0.6084 0.4441  1 O 1.46
13 O 0.0290 0.6084 0.0559  1 O 1.46
14 O 0.4206 0.3916 0.9441  1 O 1.46
15 O 0.0290 0.6084 0.4441  1 O 1.46
16 O 0.4206 0.3916 0.5559  1 O 1.46

## Properties
For the formation enthalpy at 0 K, the calculation gives -829 meV/atom. The theoretical density is 2.06 g/cm³. As for the relative energy among the computed polymorphs: 158 meV per atom.

5.
Density functional theory data (PBE) for PaO2 after structural relaxation.

Cell: 3.8591 3.8591 3.8591 Å, 60.00 60.00 60.00°
With the nearest neighbours (Å) after each atom.
Atoms (fractional coordinates):
1 Pa 0.0000 0.0000 0.0000  8 O 2.36
2 O 0.2500 0.2500 0.2500  4 Pa 2.36
3 O 0.7500 0.7500 0.7500  4 Pa 2.36

## Properties
For the formation enthalpy at 0 K, the calculation gives -4032 meV/atom. The theoretical density is 10.75 g/cm³.

6.
Density functional theory data (PBE) for TbTa5Ag2O15 after structural relaxation.

Cell: 12.6140 12.6140 3.9200 Å, 90.00 90.00 90.00°
With the nearest neighbours (Å) after each atom.
Atoms (fractional coordinates):
1 Tb 0.0000 0.0000 0.5000  12 O 2.59-2.66
2 Tb 0.5000 0.5000 0.5000  12 O 2.59-2.66
3 Ta 0.5000 0.0000 0.0000  6 O 1.96-2.00
4 Ta 0.0000 0.5000 0.0000  6 O 1.96-2.00
5 Ta 0.2111 0.0786 0.0000  6 O 1.92-2.05
6 Ta 0.7889 0.9214 0.0000  6 O 1.92-2.05
7 Ta 0.0786 0.7889 0.0000  6 O 1.92-2.05
8 Ta 0.7111 0.4214 0.0000  6 O 1.92-2.05
9 Ta 0.9214 0.2111 0.0000  6 O 1.92-2.05
10 Ta 0.2889 0.5786 0.0000  6 O 1.92-2.05
11 Ta 0.5786 0.7111 0.0000  6 O 1.92-2.05
12 Ta 0.4214 0.2889 0.0000  6 O 1.92-2.05
13 Ag 0.6716 0.1716 0.5000  6 O 2.70-2.92
14 Ag 0.3284 0.8284 0.5000  6 O 2.70-2.92
15 Ag 0.1716 0.3284 0.5000  6 O 2.70-2.92
16 Ag 0.8284 0.6716 0.5000  6 O 2.70-2.92
17 O 0.1890 0.0798 0.5000  2 Ta 1.98
18 O 0.8110 0.9202 0.5000  2 Ta 1.98
19 O 0.0798 0.8110 0.5000  2 Ta 1.98
20 O 0.6890 0.4202 0.5000  2 Ta 1.98
21 O 0.9202 0.1890 0.5000  2 Ta 1.98
22 O 0.3110 0.5798 0.5000  2 Ta 1.98
23 O 0.5798 0.6890 0.5000  2 Ta 1.98
24 O 0.4202 0.3110 0.5000  2 Ta 1.98
25 O 0.2241 0.7241 0.0000  2 Ta 2.01
26 O 0.7759 0.2759 0.0000  2 Ta 2.01
27 O 0.7241 0.7759 0.0000  2 Ta 2.01
28 O 0.2759 0.2241 0.0000  2 Ta 2.01
29 O 0.5000 0.0000 0.5000  2 Ta 1.96
30 O 0.0000 0.5000 0.5000  2 Ta 1.96
31 O 0.0570 0.1303 0.0000  2 Ta 1.99-2.05
32 O 0.9430 0.8697 0.0000  2 Ta 1.99-2.05
33 O 0.1303 0.9430 0.0000  2 Ta 1.99-2.05
34 O 0.5570 0.3697 0.0000  2 Ta 1.99-2.05
35 O 0.8697 0.0570 0.0000  2 Ta 1.99-2.05
36 O 0.4430 0.6303 0.0000  2 Ta 1.99-2.05
37 O 0.6303 0.5570 0.0000  2 Ta 1.99-2.05
38 O 0.3697 0.4430 0.0000  2 Ta 1.99-2.05
39 O 0.3412 0.9995 0.0000  2 Ta 1.92-2.00
40 O 0.6588 0.0005 0.0000  2 Ta 1.92-2.00
41 O 0.9995 0.6588 0.0000  2 Ta 1.92-2.00
42 O 0.8412 0.5005 0.0000  2 Ta 1.92-2.00
43 O 0.0005 0.3412 0.0000  2 Ta 1.92-2.00
44 O 0.1588 0.4995 0.0000  2 Ta 1.92-2.00
45 O 0.4995 0.8412 0.0000  2 Ta 1.92-2.00
46 O 0.5005 0.1588 0.0000  2 Ta 1.92-2.00

## Properties
For the formation enthalpy at 0 K, the calculation gives -3005 meV/atom. The theoretical density is 8.09 g/cm³.

7.
Density functional theory data (PBE) for EuH2 after structural relaxation.

Cell: 3.9755 3.9755 5.4758 Å, 90.00 90.00 120.00°
With the nearest neighbours (Å) after each atom.
Atoms (fractional coordinates):
1 Eu 0.6667 0.3333 0.7500  3 H 2.30
2 Eu 0.3333 0.6667 0.2500  3 H 2.30
3 H 0.3333 0.6667 0.7500  3 Eu 2.30
4 H 0.6667 0.3333 0.2500  3 Eu 2.30
5 H 0.0000 0.0000 0.5000  8 H 2.67-2.74, 6 Eu 2.67
6 H 0.0000 0.0000 0.0000  6 Eu 2.67, 8 H 2.67-2.74

## Properties
For the formation enthalpy at 0 K, the calculation gives -653 meV/atom. The theoretical density is 6.82 g/cm³.

8.
Density functional theory data (PBE) for Ba4LiTa3O12 after structural relaxation.

Cell: 5.8632 5.8632 19.3566 Å, 90.00 90.00 120.00°
With the nearest neighbours (Å) after each atom.
Atoms (fractional coordinates):
1 Ba 0.0000 0.0000 0.0030  12 O 2.84-2.95, 1 Li 3.16
2 Ba 0.0000 0.0000 0.5030  12 O 2.84-2.95, 1 Li 3.16
3 Ba 0.3333 0.6667 0.1450  9 O 2.81-2.98
4 Ba 0.6667 0.3333 0.6450  9 O 2.81-2.98
5 Ba 0.3333 0.6667 0.3696  12 O 2.80-2.99
6 Ba 0.6667 0.3333 0.8696  12 O 2.80-2.99
7 Ba 0.6667 0.3333 0.2481  12 O 2.94-3.03
8 Ba 0.3333 0.6667 0.7481  12 O 2.94-3.03
9 Li 0.0000 0.0000 0.1662  3 O 2.00
10 Li 0.0000 0.0000 0.6662  3 O 2.00
11 Ta 0.0000 0.0000 0.3100  3 O 1.90
12 Ta 0.0000 0.0000 0.8100  3 O 1.90
13 Ta 0.3333 0.6667 0.5658  3 O 1.91
14 Ta 0.6667 0.3333 0.0658  3 O 1.91
15 Ta 0.3333 0.6667 0.9395  6 O 2.01-2.04
16 Ta 0.6667 0.3333 0.4395  6 O 2.01-2.04
17 O 0.8413 0.6827 0.7578  1 Ta 1.90
18 O 0.1587 0.3173 0.2578  1 Ta 1.90
19 O 0.6827 0.8413 0.2578  1 Ta 1.90
20 O 0.8413 0.1587 0.7578  1 Ta 1.90
21 O 0.1694 0.8306 0.8789  2 Ta 2.04-2.18
22 O 0.3389 0.1694 0.3789  2 Ta 2.04-2.18
23 O 0.8306 0.6611 0.3789  2 Ta 2.04-2.18
24 O 0.1694 0.3389 0.8789  2 Ta 2.04-2.18
25 O 0.6611 0.8306 0.8789  2 Ta 2.04-2.18
26 O 0.8306 0.1694 0.3789  2 Ta 2.04-2.18
27 O 0.1738 0.8262 0.6177  1 Ta 1.91, 1 Li 2.00
28 O 0.3476 0.1738 0.1177  1 Ta 1.91, 1 Li 2.00
29 O 0.1587 0.8413 0.2578  1 Ta 1.90
30 O 0.3173 0.1587 0.7578  1 Ta 1.90
31 O 0.4986 0.5014 0.9965  2 Ta 2.01-2.17
32 O 0.9971 0.4986 0.4965  2 Ta 2.01-2.17
33 O 0.5014 0.0029 0.4965  2 Ta 2.01-2.17
34 O 0.4986 0.9971 0.9965  2 Ta 2.01-2.17
35 O 0.0029 0.5014 0.9965  2 Ta 2.01-2.17
36 O 0.5014 0.4986 0.4965  2 Ta 2.01-2.17
37 O 0.8262 0.1738 0.1177  1 Ta 1.91, 1 Li 2.00
38 O 0.6524 0.8262 0.6177  1 Ta 1.91, 1 Li 2.00
39 O 0.1738 0.3476 0.6177  1 Ta 1.91, 1 Li 2.00
40 O 0.8262 0.6524 0.1177  1 Ta 1.91, 1 Li 2.00

## Properties
For the formation enthalpy at 0 K, the calculation gives -3368 meV/atom. The theoretical density is 7.44 g/cm³.